[1]
Material: MgNb2O4F2
Method: DFT, PBE-GGA
State: optimized geometry

CIF file:
```
data_MgNb2O4F2
_symmetry_space_group_name_H-M 'P 1'
_symmetry_Int_Tables_number 1
_cell_length_a 5.244
_cell_length_b 5.408
_cell_length_c 5.700
_cell_angle_alpha 93.67
_cell_angle_beta 115.88
_cell_angle_gamma 117.44
loop_
_symmetry_equiv_pos_as_xyz
'x,y,z'
loop_
_atom_site_label
_atom_site_fract_x
_atom_site_fract_y
_atom_site_fract_z
Mg1 0.000 0.000 0.000
Nb1 0.395 0.670 0.105
Nb2 0.469 0.250 0.612
O1 0.312 0.899 0.309
O2 0.506 0.465 0.351
O3 0.563 0.614 0.859
O4 0.921 0.310 0.858
F1 0.256 0.968 0.831
F2 0.918 0.077 0.321
```

## Properties
The energy relative to the lowest polymorph listed for this composition is 0 meV/atom. For the raw total energy, the calculation gives -68.64 eV per cell. The value obtained for the energy of formation is -2.99 eV per atom. The calculated density comes out at 4257 kg/m3. As for the volume: 121.7 Å³ per cell.

=====

[2]
Material: MgNbOF3
Method: DFT, PBE-GGA
State: optimized geometry

CIF file:
```
data_MgNbOF3
_symmetry_space_group_name_H-M 'I m m 2'
_symmetry_Int_Tables_number 44
_cell_length_a 4.015
_cell_length_b 4.252
_cell_length_c 9.847
_cell_angle_alpha 90.00
_cell_angle_beta 90.00
_cell_angle_gamma 90.00
loop_
_symmetry_equiv_pos_as_xyz
'x,y,z'
'-x,-y,z'
'-x,y,z'
'x,-y,z'
'x+1/2,y+1/2,z+1/2'
'-x+1/2,-y+1/2,z+1/2'
'-x+1/2,y+1/2,z+1/2'
'x+1/2,-y+1/2,z+1/2'
loop_
_atom_site_label
_atom_site_fract_x
_atom_site_fract_y
_atom_site_fract_z
Mg1 0.000 0.000 0.000
Nb1 0.000 0.500 0.259
O1 0.000 0.000 0.787
F1 0.000 0.000 0.211
F2 0.000 0.500 0.036
F3 0.000 0.500 0.487
```

## Properties
The energy relative to the lowest polymorph listed for this composition is 0 meV/atom. For the raw total energy, the calculation gives -76.80 eV per cell. The value obtained for the energy of formation is -3.01 eV per atom. The calculated density comes out at 3757 kg/m3. As for the volume: 168.1 Å³ per cell.

=====

[3]
Material: MgNbOF3
Method: DFT, PBE-GGA
State: optimized geometry

CIF file:
```
data_MgNbOF3
_symmetry_space_group_name_H-M 'C 1 2/m 1'
_symmetry_Int_Tables_number 12
_cell_length_a 9.205
_cell_length_b 4.169
_cell_length_c 4.527
_cell_angle_alpha 90.00
_cell_angle_beta 119.07
_cell_angle_gamma 90.00
loop_
_symmetry_equiv_pos_as_xyz
'x,y,z'
'-x,-y,-z'
'-x,y,-z'
'x,-y,z'
'x+1/2,y+1/2,z'
'-x+1/2,-y+1/2,-z'
'-x+1/2,y+1/2,-z'
'x+1/2,-y+1/2,z'
loop_
_atom_site_label
_atom_site_fract_x
_atom_site_fract_y
_atom_site_fract_z
Mg1 0.000 0.000 0.000
Nb1 0.000 0.500 0.500
O1 0.000 0.000 0.500
F1 0.000 0.500 0.000
F2 0.238 0.000 0.236
```

## Properties
The energy relative to the lowest polymorph listed for this composition is 105 meV/atom. For the raw total energy, the calculation gives -75.54 eV per cell. The value obtained for the energy of formation is -2.91 eV per atom. The calculated density comes out at 4160 kg/m3. As for the volume: 151.8 Å³ per cell.